No. 1
Density functional theory data (GGA-PBE) for Sn2N2O after structural relaxation.

Results
* mass density: 7.00 Mg/m³
* magnetic moment: 0.00 μB per formula unit
* formation energy from the elements: -0.44 eV per atom

```
Sn2N2O
1.0
8.800 0.000 0.000
-2.912 8.358 0.000
-2.937 -4.163 7.258
Sn N O
16 16 8
direct
0.467 0.252 0.712
0.513 0.507 0.515
0.535 0.752 0.287
0.990 0.499 0.999
0.957 0.245 0.216
0.245 0.213 0.961
0.004 0.011 0.507
0.214 0.976 0.250
0.500 0.002 0.001
0.036 0.761 0.787
0.729 0.468 0.262
0.288 0.532 0.754
0.245 0.718 0.473
0.759 0.791 0.025
0.765 0.020 0.733
0.738 0.275 0.526
0.547 0.548 0.780
0.966 0.730 0.996
0.730 0.265 0.772
0.233 0.957 0.500
0.264 0.760 0.733
0.457 0.234 0.455
0.756 0.029 0.483
0.973 0.508 0.240
0.997 0.041 0.271
0.781 0.546 0.543
0.727 0.225 0.268
0.516 0.754 0.525
0.277 0.016 0.044
0.728 0.998 0.951
0.987 0.963 0.731
0.237 0.276 0.743
0.222 0.440 0.462
0.041 0.481 0.771
0.273 0.728 0.208
0.762 0.714 0.255
0.518 0.244 0.966
0.460 0.461 0.219
0.498 0.767 0.047
0.068 0.294 0.029
```


No. 2
Density functional theory data (GGA-PBE) for SrTaNO2 after structural relaxation.

Results
* mass density: 7.71 Mg/m³
* magnetic moment: 0.00 μB per formula unit
* formation energy from the elements: -2.66 eV per atom

```
SrTaNO2
1.0
4.022 0.000 0.000
0.000 5.798 0.000
0.000 2.842 8.717
N O Ta Sr
3 6 3 3
direct
0.000 0.506 0.498
0.000 0.006 0.502
0.000 0.331 0.837
0.500 0.985 0.008
0.500 0.674 0.676
0.000 0.830 0.841
0.000 0.157 0.167
0.000 0.661 0.164
0.500 0.338 0.318
0.000 0.663 0.658
0.000 0.016 0.992
0.000 0.327 0.343
0.500 0.161 0.667
0.500 0.510 0.000
0.500 0.834 0.328
```


No. 3
Density functional theory data (GGA-PBE) for SrTaNO2 after structural relaxation.

Results
* mass density: 7.80 Mg/m³
* magnetic moment: 0.00 μB per formula unit
* formation energy from the elements: -2.68 eV per atom

```
SrTaNO2
1.0
-6.505 4.824 -0.440
-2.606 -3.825 -3.408
-2.289 -2.671 4.545
O Sr Ta N
8 4 4 4
direct
0.000 0.950 0.534
0.713 0.760 0.765
0.287 0.760 0.765
0.787 0.235 0.240
0.500 0.465 0.049
0.250 0.732 0.268
0.750 0.732 0.268
0.213 0.235 0.240
0.500 0.009 0.999
0.500 0.515 0.492
0.000 0.508 0.485
0.000 0.001 0.991
0.258 0.012 0.503
0.742 0.012 0.503
0.242 0.496 0.987
0.758 0.496 0.987
0.500 0.027 0.463
0.250 0.258 0.742
0.750 0.258 0.742
0.000 0.538 0.974
```


No. 4
Density functional theory data (GGA-PBE) for SrTaNO2 after structural relaxation.

Results
* mass density: 7.77 Mg/m³
* magnetic moment: 0.00 μB per formula unit
* formation energy from the elements: -2.67 eV per atom

```
SrTaNO2
1.0
-6.715 3.703 -2.846
0.334 -3.093 -4.813
-3.255 -4.119 2.322
N Sr O Ta
4 4 8 4
direct
0.000 0.517 0.969
0.736 0.271 0.730
0.264 0.271 0.730
0.500 0.002 0.461
0.500 0.016 0.995
0.000 0.993 0.994
0.500 0.512 0.491
0.000 0.493 0.489
0.500 0.492 0.050
0.774 0.224 0.228
0.725 0.775 0.779
0.765 0.722 0.282
0.000 0.986 0.535
0.235 0.722 0.282
0.275 0.775 0.779
0.226 0.224 0.228
0.758 0.494 0.987
0.242 0.494 0.987
0.741 0.007 0.502
0.259 0.007 0.502
```


No. 5
Density functional theory data (GGA-PBE) for SrTaNO2 after structural relaxation.

Results
* mass density: 7.71 Mg/m³
* magnetic moment: 0.00 μB per formula unit
* formation energy from the elements: -2.61 eV per atom

```
SrTaNO2
1.0
-0.758 1.136 -3.819
-1.320 -3.760 -0.856
-3.801 1.089 1.078
N Sr Ta O
1 1 1 2
direct
0.500 0.519 0.000
0.000 0.996 0.000
0.500 0.489 0.500
0.000 0.495 0.500
0.500 0.002 0.500
```


No. 6
Density functional theory data (GGA-PBE) for SrTaNO2 after structural relaxation.

Results
* mass density: 7.70 Mg/m³
* magnetic moment: 0.00 μB per formula unit
* formation energy from the elements: -2.66 eV per atom

```
SrTaNO2
1.0
4.048 5.774 0.000
-4.048 5.774 0.000
0.000 0.005 5.807
Sr O N Ta
4 8 4 4
direct
0.747 0.253 0.000
0.000 0.500 0.500
0.500 0.000 0.500
0.253 0.747 0.000
0.137 0.137 0.281
0.384 0.384 0.238
0.616 0.616 0.762
0.863 0.863 0.719
0.000 0.500 0.000
0.500 0.000 0.000
0.750 0.250 0.500
0.250 0.750 0.500
0.113 0.113 0.773
0.887 0.887 0.227
0.633 0.633 0.265
0.367 0.367 0.735
0.500 0.500 0.500
0.752 0.752 0.027
0.248 0.248 0.973
0.000 0.000 0.500
```